Here is crystalline K3ScCl6 at its relaxed geometry from the Materials Project database. Energies are from PBE.

Computed properties:
* electronic total energy: -40.78 eV/cell

abc: 7.7251 7.7251 7.7251
angles: 60.00 60.00 60.00
With the nearest neighbours (Å) after each atom.
Atoms (fractional coordinates):
K (0.7500, 0.7500, 0.7500)  12 Cl 3.87
K (0.2500, 0.2500, 0.2500)  12 Cl 3.87
K (0.5000, 0.5000, 0.5000)  6 Cl 2.97
Sc (0.0000, 0.0000, 0.0000)  6 Cl 2.49
Cl (0.7718, 0.2282, 0.2282)  1 Sc 2.49
Cl (0.2282, 0.2282, 0.7718)  1 Sc 2.49
Cl (0.2282, 0.7718, 0.7718)  1 Sc 2.49
Cl (0.2282, 0.7718, 0.2282)  1 Sc 2.49
Cl (0.7718, 0.2282, 0.7718)  1 Sc 2.49
Cl (0.7718, 0.7718, 0.2282)  1 Sc 2.49



Here is crystalline K3ScCl6 at its relaxed geometry from the Materials Project database. Energies are from PBE.

Computed properties:
* electronic total energy: -165.23 eV/cell

abc: 7.6751 12.6753 13.0248
angles: 109.95 90.00 90.00
With the nearest neighbours (Å) after each atom.
Atoms (fractional coordinates):
K (0.5054, 0.3702, 0.6041)  6 Cl 3.20-3.56
K (0.0054, 0.1298, 0.3959)  6 Cl 3.20-3.56
K (0.4946, 0.6298, 0.3959)  6 Cl 3.20-3.56
K (0.9946, 0.8702, 0.6041)  6 Cl 3.20-3.56
K (0.5563, 0.1210, 0.8219)  7 Cl 3.13-3.42
K (0.0563, 0.3790, 0.1781)  7 Cl 3.13-3.42
K (0.4437, 0.8790, 0.1781)  7 Cl 3.13-3.42
K (0.9437, 0.6210, 0.8219)  7 Cl 3.13-3.42
K (0.0574, 0.2719, 0.8099)  6 Cl 3.08-3.39
K (0.5574, 0.2281, 0.1901)  6 Cl 3.08-3.39
K (0.9426, 0.7281, 0.1901)  6 Cl 3.08-3.39
K (0.4426, 0.7719, 0.8099)  6 Cl 3.08-3.39
Sc (0.5000, 0.5000, 0.0000)  6 Cl 2.49-2.53
Sc (0.0000, 0.0000, 0.0000)  6 Cl 2.49-2.53
Sc (0.5000, 0.0000, 0.5000)  6 Cl 2.46-2.55
Sc (0.0000, 0.5000, 0.5000)  6 Cl 2.46-2.55
Cl (0.6940, 0.3851, 0.8477)  1 Sc 2.51
Cl (0.1940, 0.1149, 0.1523)  1 Sc 2.51
Cl (0.3060, 0.6149, 0.1523)  1 Sc 2.51
Cl (0.8060, 0.8851, 0.8477)  1 Sc 2.51
Cl (0.7750, 0.0924, 0.6016)  1 Sc 2.55
Cl (0.2750, 0.4076, 0.3984)  1 Sc 2.55
Cl (0.2250, 0.9076, 0.3984)  1 Sc 2.55
Cl (0.7250, 0.5924, 0.6016)  1 Sc 2.55
Cl (0.3181, 0.1534, 0.6271)  1 Sc 2.50
Cl (0.8181, 0.3466, 0.3729)  1 Sc 2.50
Cl (0.6819, 0.8466, 0.3729)  1 Sc 2.50
Cl (0.1819, 0.6534, 0.6271)  1 Sc 2.50
Cl (0.3622, 0.3220, 0.0090)  1 Sc 2.53
Cl (0.8622, 0.1780, 0.9910)  1 Sc 2.53
Cl (0.6378, 0.6780, 0.9910)  1 Sc 2.53
Cl (0.1378, 0.8220, 0.0090)  1 Sc 2.53
Cl (0.2863, 0.5009, 0.8565)  1 Sc 2.49
Cl (0.7863, 0.9991, 0.1435)  1 Sc 2.49
Cl (0.7137, 0.4991, 0.1435)  1 Sc 2.49
Cl (0.2137, 0.0009, 0.8565)  1 Sc 2.49
Cl (0.0238, 0.3872, 0.6200)  1 Sc 2.46
Cl (0.5238, 0.1128, 0.3800)  1 Sc 2.46
Cl (0.9762, 0.6128, 0.3800)  1 Sc 2.46
Cl (0.4762, 0.8872, 0.6200)  1 Sc 2.46



Here is crystalline KSm2Cl7 at its relaxed geometry from the Materials Project database. Energies are from PBE.

Computed properties:
* electronic total energy: -183.72 eV/cell

abc: 12.9434 7.1011 13.5901
angles: 89.47 90.00 90.00
With the nearest neighbours (Å) after each atom.
Atoms (fractional coordinates):
K (0.2016, 0.7394, 0.0366)  5 Cl 3.26-3.62
K (0.7984, 0.2606, 0.9634)  5 Cl 3.26-3.62
K (0.7016, 0.2606, 0.4634)  5 Cl 3.26-3.62
K (0.2984, 0.7394, 0.5366)  5 Cl 3.26-3.62
Sm (0.5374, 0.7785, 0.2367)  7 Cl 2.75-2.83
Sm (0.4626, 0.2215, 0.7633)  7 Cl 2.75-2.83
Sm (0.0374, 0.2215, 0.2633)  7 Cl 2.75-2.83
Sm (0.9626, 0.7785, 0.7367)  7 Cl 2.75-2.83
Sm (0.8408, 0.7268, 0.2475)  7 Cl 2.75-2.80
Sm (0.1592, 0.2732, 0.7525)  7 Cl 2.75-2.80
Sm (0.3408, 0.2732, 0.2525)  7 Cl 2.75-2.80
Sm (0.6592, 0.7268, 0.7475)  7 Cl 2.75-2.80
Cl (0.9752, 0.9437, 0.1337)  2 Sm 2.78
Cl (0.0248, 0.0563, 0.8663)  2 Sm 2.78
Cl (0.4752, 0.0563, 0.3663)  2 Sm 2.78
Cl (0.5248, 0.9437, 0.6337)  2 Sm 2.78
Cl (0.6851, 0.7434, 0.3894)  2 Sm 2.79-2.83
Cl (0.3149, 0.2566, 0.6106)  2 Sm 2.79-2.83
Cl (0.1851, 0.2566, 0.1106)  2 Sm 2.79-2.83
Cl (0.8149, 0.7434, 0.8894)  2 Sm 2.79-2.83
Cl (0.6783, 0.5162, 0.1724)  2 Sm 2.75-2.78
Cl (0.3217, 0.4838, 0.8276)  2 Sm 2.75-2.78
Cl (0.1783, 0.4838, 0.3276)  2 Sm 2.75-2.78
Cl (0.8217, 0.5162, 0.6724)  2 Sm 2.75-2.78
Cl (0.9242, 0.9759, 0.3798)  2 Sm 2.75-2.76
Cl (0.0758, 0.0241, 0.6202)  2 Sm 2.75-2.76
Cl (0.4242, 0.0241, 0.1202)  2 Sm 2.75-2.76
Cl (0.5758, 0.9759, 0.8798)  2 Sm 2.75-2.76
Cl (0.9420, 0.4625, 0.1297)  2 Sm 2.77-2.80
Cl (0.0580, 0.5375, 0.8703)  2 Sm 2.77-2.80
Cl (0.4420, 0.5375, 0.3703)  2 Sm 2.77-2.80
Cl (0.5579, 0.4625, 0.6297)  2 Sm 2.77-2.80
Cl (0.7038, 0.9992, 0.1748)  2 Sm 2.79-2.80
Cl (0.2962, 0.0008, 0.8252)  2 Sm 2.79-2.80
Cl (0.2038, 0.0008, 0.3252)  2 Sm 2.79-2.80
Cl (0.7962, 0.9992, 0.6748)  2 Sm 2.79-2.80
Cl (0.9118, 0.4539, 0.3772)  2 Sm 2.76-2.79
Cl (0.0882, 0.5461, 0.6228)  2 Sm 2.76-2.79
Cl (0.4118, 0.5461, 0.1228)  2 Sm 2.76-2.79
Cl (0.5882, 0.4539, 0.8772)  2 Sm 2.76-2.79



Here is crystalline K2Sn5Cl12 at its relaxed geometry from the Materials Project database. Energies are from PBE.

Computed properties:
* electronic total energy: -131.83 eV/cell

abc: 10.1874 11.7215 11.9433
angles: 61.33 90.00 90.00
With the nearest neighbours (Å) after each atom.
Atoms (fractional coordinates):
K (0.5000, 0.6186, 0.3193)  6 Cl 3.04-3.40
K (0.0000, 0.2975, 0.0983)  4 Cl 3.16-3.26
K (0.0000, 0.9906, 0.0053)  6 Cl 3.12-3.39
K (0.5000, 0.0152, 0.9831)  8 Cl 3.11-3.40
Sn (0.0000, 0.4908, 0.3661)  2 Cl 2.47-2.60
Sn (0.5000, 0.3759, 0.1203)  2 Cl 2.48-2.60
Sn (0.5000, 0.1499, 0.5163)  2 Cl 2.56-2.60
Sn (0.0000, 0.1107, 0.5148)  2 Cl 2.54
Sn (0.2299, 0.8431, 0.4306)  1 Cl 2.50
Sn (0.7701, 0.8431, 0.4306)  1 Cl 2.50
Sn (0.2884, 0.7142, 0.8627)  3 Cl 2.47-2.75
Sn (0.7116, 0.7142, 0.8627)  3 Cl 2.47-2.75
Sn (0.2450, 0.4255, 0.7176)  3 Cl 2.50-2.80
Sn (0.7550, 0.4255, 0.7176)  3 Cl 2.50-2.80
Cl (0.2889, 0.8600, 0.2199)  1 Sn 2.50
Cl (0.7111, 0.8600, 0.2199)  1 Sn 2.50
Cl (0.7695, 0.4866, 0.0804)  2 Sn 2.75-2.98
Cl (0.2305, 0.4866, 0.0804)  2 Sn 2.75-2.98
Cl (0.2316, 0.2105, 0.9160)  1 Sn 2.50
Cl (0.7684, 0.2105, 0.9160)  1 Sn 2.50
Cl (0.2574, 0.4310, 0.4812)  2 Sn 2.80-2.89
Cl (0.7426, 0.4310, 0.4812)  2 Sn 2.80-2.89
Cl (0.2638, 0.0877, 0.4249)  3 Sn 2.86-2.95
Cl (0.7362, 0.0877, 0.4249)  3 Sn 2.86-2.95
Cl (0.0000, 0.9875, 0.3003)  2 Sn 2.87
Cl (0.5000, 0.1471, 0.1630)  1 Sn 2.48
Cl (0.2338, 0.8987, 0.8993)  1 Sn 2.47
Cl (0.7662, 0.8987, 0.8993)  1 Sn 2.47
Cl (0.0000, 0.8665, 0.6619)  1 Sn 2.54
Cl (0.5000, 0.9069, 0.6761)  1 Sn 2.56
Cl (0.0000, 0.6412, 0.4702)  1 Sn 2.60
Cl (0.5000, 0.7247, 0.5074)  2 Sn 3.02, 1 K 3.04
Cl (0.0000, 0.6864, 0.1536)  1 Sn 2.47
Cl (0.5000, 0.6940, 0.0065)  2 Sn 2.70
Cl (0.0000, 0.4653, 0.7948)  2 Sn 2.78
Cl (0.5000, 0.4694, 0.8739)  1 Sn 2.60
Cl (0.0000, 0.1829, 0.6843)  1 Sn 2.54
Cl (0.5000, 0.2169, 0.6945)  1 Sn 2.60



Here is crystalline KSr2Cl5 at its relaxed geometry from the Materials Project database. Energies are from PBE.

Computed properties:
* electronic total energy: -130.22 eV/cell

abc: 7.9595 8.9408 12.9805
angles: 89.84 90.00 90.00
With the nearest neighbours (Å) after each atom.
Atoms (fractional coordinates):
K (0.4731, 0.4984, 0.8259)  6 Cl 3.11-3.44
K (0.5269, 0.5016, 0.1741)  6 Cl 3.11-3.44
K (0.9731, 0.5016, 0.6741)  6 Cl 3.11-3.44
K (0.0269, 0.4984, 0.3259)  6 Cl 3.11-3.44
Sr (0.4786, 0.0016, 0.8235)  8 Cl 3.02-3.11
Sr (0.5214, 0.9984, 0.1765)  8 Cl 3.02-3.11
Sr (0.9786, 0.9984, 0.6765)  8 Cl 3.02-3.11
Sr (0.0214, 0.0016, 0.3235)  8 Cl 3.02-3.11
Sr (0.4355, 0.7507, 0.5049)  7 Cl 2.88-3.08
Sr (0.5645, 0.2493, 0.4951)  7 Cl 2.88-3.08
Sr (0.9355, 0.2493, 0.9951)  7 Cl 2.88-3.08
Sr (0.0645, 0.7507, 0.0049)  7 Cl 2.88-3.08
Cl (0.3397, 0.4683, 0.5937)  2 Sr 2.88-2.95, 2 K 3.11-3.21
Cl (0.6603, 0.5317, 0.4063)  2 Sr 2.88-2.95, 2 K 3.11-3.21
Cl (0.8397, 0.5317, 0.9063)  2 Sr 2.88-2.95, 2 K 3.11-3.21
Cl (0.1603, 0.4683, 0.0937)  2 Sr 2.88-2.95, 2 K 3.11-3.21
Cl (0.6695, 0.7857, 0.6827)  3 Sr 2.98-3.11
Cl (0.3305, 0.2143, 0.3173)  3 Sr 2.98-3.11
Cl (0.1695, 0.2143, 0.8173)  3 Sr 2.98-3.11
Cl (0.8305, 0.7857, 0.1827)  3 Sr 2.98-3.11
Cl (0.1955, 0.7721, 0.7870)  3 Sr 3.02-3.08, 2 K 3.33-3.34
Cl (0.8045, 0.2279, 0.2130)  3 Sr 3.02-3.08, 2 K 3.33-3.34
Cl (0.6955, 0.2279, 0.7130)  3 Sr 3.02-3.08, 2 K 3.33-3.34
Cl (0.3045, 0.7721, 0.2870)  3 Sr 3.02-3.08, 2 K 3.33-3.34
Cl (0.0502, 0.7825, 0.5031)  3 Sr 3.02-3.08
Cl (0.9498, 0.2175, 0.4969)  3 Sr 3.02-3.08
Cl (0.5502, 0.2175, 0.9969)  3 Sr 3.02-3.08
Cl (0.4498, 0.7825, 0.0031)  3 Sr 3.02-3.08
Cl (0.8416, 0.9626, 0.8974)  4 Sr 2.94-3.08
Cl (0.1584, 0.0374, 0.1026)  4 Sr 2.94-3.08
Cl (0.3416, 0.0374, 0.6026)  4 Sr 2.94-3.08
Cl (0.6584, 0.9626, 0.3974)  4 Sr 2.94-3.08



Here is crystalline K2TaCl6 at its relaxed geometry from the Materials Project database. Energies are from PBE.

Computed properties:
* electronic total energy: -39.55 eV/cell

abc: 7.1509 7.1509 7.1509
angles: 60.00 60.00 60.00
With the nearest neighbours (Å) after each atom.
Atoms (fractional coordinates):
K (0.2500, 0.2500, 0.2500)  12 Cl 3.58
K (0.7500, 0.7500, 0.7500)  12 Cl 3.58
Ta (0.0000, 0.0000, 0.0000)  6 Cl 2.42
Cl (0.7608, 0.7608, 0.2392)  1 Ta 2.42
Cl (0.2392, 0.7608, 0.2392)  1 Ta 2.42
Cl (0.2392, 0.7608, 0.7608)  1 Ta 2.42
Cl (0.2392, 0.2392, 0.7608)  1 Ta 2.42
Cl (0.7608, 0.2392, 0.2392)  1 Ta 2.42
Cl (0.7608, 0.2392, 0.7608)  1 Ta 2.42



Here is crystalline K3TaCl6 at its relaxed geometry from the Materials Project database. Energies are from PBE.

Computed properties:
* electronic total energy: -41.54 eV/cell

abc: 7.6835 7.6835 7.6835
angles: 60.00 60.00 60.00
With the nearest neighbours (Å) after each atom.
Atoms (fractional coordinates):
K (0.7500, 0.7500, 0.7500)  12 Cl 3.85
K (0.2500, 0.2500, 0.2500)  12 Cl 3.85
K (0.5000, 0.5000, 0.5000)  6 Cl 2.96
Ta (0.0000, 0.0000, 0.0000)  6 Cl 2.47
Cl (0.7726, 0.2274, 0.2274)  1 Ta 2.47
Cl (0.2274, 0.2274, 0.7726)  1 Ta 2.47
Cl (0.2274, 0.7726, 0.7726)  1 Ta 2.47
Cl (0.2274, 0.7726, 0.2274)  1 Ta 2.47
Cl (0.7726, 0.2274, 0.7726)  1 Ta 2.47
Cl (0.7726, 0.7726, 0.2274)  1 Ta 2.47



Here is crystalline KTb2Cl7 at its relaxed geometry from the Materials Project database. Energies are from PBE.

Computed properties:
* electronic total energy: -183.12 eV/cell

abc: 12.6734 6.9755 13.5814
angles: 89.21 90.00 90.00
With the nearest neighbours (Å) after each atom.
Atoms (fractional coordinates):
K (0.2002, 0.7549, 0.0371)  7 Cl 3.29-3.64
K (0.7998, 0.2451, 0.9629)  7 Cl 3.29-3.64
K (0.7002, 0.2451, 0.4629)  7 Cl 3.29-3.64
K (0.2998, 0.7549, 0.5371)  7 Cl 3.29-3.64
Tb (0.5381, 0.7758, 0.2376)  7 Cl 2.69-2.78
Tb (0.4619, 0.2242, 0.7624)  7 Cl 2.69-2.78
Tb (0.0381, 0.2242, 0.2624)  7 Cl 2.69-2.78
Tb (0.9619, 0.7758, 0.7376)  7 Cl 2.69-2.78
Tb (0.8408, 0.7275, 0.2476)  7 Cl 2.70-2.75
Tb (0.1592, 0.2725, 0.7524)  7 Cl 2.70-2.75
Tb (0.3408, 0.2725, 0.2524)  7 Cl 2.70-2.75
Tb (0.6592, 0.7275, 0.7476)  7 Cl 2.70-2.75
Cl (0.9748, 0.9458, 0.1359)  2 Tb 2.73
Cl (0.0252, 0.0542, 0.8641)  2 Tb 2.73
Cl (0.4748, 0.0542, 0.3641)  2 Tb 2.73
Cl (0.5252, 0.9458, 0.6359)  2 Tb 2.73
Cl (0.6861, 0.7469, 0.3880)  2 Tb 2.74-2.78
Cl (0.3139, 0.2531, 0.6120)  2 Tb 2.74-2.78
Cl (0.1861, 0.2531, 0.1120)  2 Tb 2.74-2.78
Cl (0.8139, 0.7469, 0.8880)  2 Tb 2.74-2.78
Cl (0.6795, 0.5169, 0.1743)  2 Tb 2.69-2.71
Cl (0.3205, 0.4831, 0.8257)  2 Tb 2.69-2.71
Cl (0.1795, 0.4831, 0.3257)  2 Tb 2.69-2.71
Cl (0.8205, 0.5169, 0.6743)  2 Tb 2.69-2.71
Cl (0.9254, 0.9781, 0.3766)  2 Tb 2.71
Cl (0.0746, 0.0219, 0.6234)  2 Tb 2.71
Cl (0.4254, 0.0219, 0.1234)  2 Tb 2.71
Cl (0.5746, 0.9781, 0.8766)  2 Tb 2.71
Cl (0.9429, 0.4656, 0.1320)  2 Tb 2.71-2.75
Cl (0.0571, 0.5344, 0.8680)  2 Tb 2.71-2.75
Cl (0.4429, 0.5344, 0.3680)  2 Tb 2.71-2.75
Cl (0.5571, 0.4656, 0.6320)  2 Tb 2.71-2.75
Cl (0.7035, 0.9982, 0.1750)  2 Tb 2.74
Cl (0.2965, 0.0018, 0.8250)  2 Tb 2.74
Cl (0.2035, 0.0018, 0.3250)  2 Tb 2.74
Cl (0.7965, 0.9982, 0.6750)  2 Tb 2.74
Cl (0.9126, 0.4570, 0.3750)  2 Tb 2.70-2.75
Cl (0.0874, 0.5430, 0.6250)  2 Tb 2.70-2.75
Cl (0.4126, 0.5430, 0.1250)  2 Tb 2.70-2.75
Cl (0.5874, 0.4570, 0.8750)  2 Tb 2.70-2.75